Here is crystalline LiVP4O12 at its relaxed geometry from the Materials Project. Energies are from PBE+U.

Unit cell a=8.879 b=7.147 c=15.864 alpha=64.71 beta=90.00 gamma=90.00
Fractional positions:
Li 0.467 0.407 0.120
Li 0.967 0.593 0.380
Li 0.033 0.407 0.620
Li 0.533 0.593 0.880
V 0.251 0.846 0.158
V 0.751 0.154 0.342
V 0.249 0.846 0.658
V 0.749 0.154 0.842
P 0.744 0.214 0.041
P 0.669 0.805 0.059
P 0.924 0.575 0.181
P 0.996 0.182 0.177
P 0.424 0.425 0.319
P 0.496 0.818 0.323
P 0.169 0.195 0.441
P 0.244 0.786 0.459
P 0.756 0.214 0.541
P 0.831 0.805 0.559
P 0.504 0.182 0.677
P 0.576 0.575 0.681
P 0.004 0.818 0.823
P 0.076 0.425 0.819
P 0.331 0.195 0.941
P 0.256 0.786 0.959
O 0.338 0.097 0.047
O 0.223 0.741 0.059
O 0.644 0.357 0.060
O 0.834 0.696 0.084
O 0.910 0.200 0.085
O 0.684 0.981 0.097
O 0.543 0.669 0.111
O 0.025 0.420 0.156
O 0.146 0.089 0.176
O 0.027 0.724 0.198
O 0.312 0.540 0.243
O 0.400 0.918 0.237
O 0.812 0.460 0.257
O 0.900 0.082 0.263
O 0.527 0.276 0.302
O 0.525 0.580 0.344
O 0.646 0.911 0.324
O 0.043 0.331 0.389
O 0.184 0.019 0.403
O 0.334 0.304 0.416
O 0.410 0.800 0.415
O 0.144 0.643 0.440
O 0.723 0.259 0.441
O 0.838 0.903 0.453
O 0.162 0.097 0.547
O 0.277 0.741 0.559
O 0.856 0.357 0.560
O 0.590 0.200 0.585
O 0.666 0.696 0.584
O 0.816 0.981 0.597
O 0.957 0.669 0.611
O 0.354 0.089 0.676
O 0.475 0.420 0.656
O 0.473 0.724 0.698
O 0.100 0.918 0.737
O 0.188 0.540 0.743
O 0.600 0.082 0.763
O 0.688 0.460 0.757
O 0.973 0.276 0.802
O 0.854 0.911 0.824
O 0.975 0.580 0.844
O 0.457 0.331 0.889
O 0.316 0.019 0.903
O 0.090 0.800 0.915
O 0.166 0.304 0.916
O 0.356 0.643 0.940
O 0.777 0.259 0.941
O 0.662 0.903 0.953

Results
ρ in g/cm3: 2.727
Distance to the lowest polymorph of the same formula in meV/atom: 66
Calculated formation energy in meV/atom: -2606